(P)
# K4MgMn4O8 (PBE with a Hubbard U, relaxed)
data_K4MgMn4O8
_cell_length_a 6.225
_cell_length_b 6.229
_cell_length_c 7.764
_cell_angle_alpha 108.17
_cell_angle_beta 107.87
_cell_angle_gamma 90.24
_space_group_name_H-M_alt 'P 1'
_space_group_IT_number 1
loop_
_space_group_symop_operation_xyz
'x,y,z'
loop_
_atom_site_label
_atom_site_fract_x
_atom_site_fract_y
_atom_site_fract_z
_atom_site_occupancy
K1 0.000 0.000 0.000 1
K2 0.009 0.518 0.316 1
K3 0.074 0.070 0.442 1
K4 0.553 0.068 0.129 1
Mg1 0.218 0.857 0.722 1
Mn1 0.481 0.454 0.872 1
Mn2 0.620 0.591 0.571 1
Mn3 0.628 0.084 0.600 1
Mn4 0.988 0.447 0.843 1
O1 0.253 0.212 0.861 1
O2 0.265 0.687 0.907 1
O3 0.388 0.807 0.536 1
O4 0.398 0.355 0.544 1
O5 0.716 0.676 0.898 1
O6 0.728 0.262 0.909 1
O7 0.812 0.344 0.534 1
O8 0.863 0.819 0.583 1
# magnetic moment = 18.0 μB per cell
# volume = 271 Å³/cell

(Q)
# K4MgMn4O8 (PBE with a Hubbard U, relaxed)
data_K4MgMn4O8
_cell_length_a 6.571
_cell_length_b 6.572
_cell_length_c 7.756
_cell_angle_alpha 114.91
_cell_angle_beta 114.91
_cell_angle_gamma 90.18
_space_group_name_H-M_alt 'P 1'
_space_group_IT_number 1
loop_
_space_group_symop_operation_xyz
'x,y,z'
loop_
_atom_site_label
_atom_site_fract_x
_atom_site_fract_y
_atom_site_fract_z
_atom_site_occupancy
K1 0.000 0.000 0.000 1
K2 0.031 0.049 0.565 1
K3 0.470 0.003 0.474 1
K4 0.955 0.469 0.907 1
Mg1 0.361 0.628 0.736 1
Mn1 0.439 0.468 0.381 1
Mn2 0.543 0.540 0.068 1
Mn3 0.557 0.061 0.091 1
Mn4 0.941 0.478 0.405 1
O1 0.206 0.314 0.470 1
O2 0.222 0.711 0.499 1
O3 0.315 0.739 0.003 1
O4 0.325 0.303 0.047 1
O5 0.681 0.726 0.972 1
O6 0.723 0.685 0.416 1
O7 0.725 0.279 0.425 1
O8 0.739 0.311 0.057 1
# magnetic moment = 18.0 μB per cell
# volume = 269 Å³/cell

So which one wins? Going from most stable to least: (Q), (P).

(P)
# K4MgMn4O8 (PBE with a Hubbard U, relaxed)
data_K4MgMn4O8
_cell_length_a 3.092
_cell_length_b 6.719
_cell_length_c 13.025
_cell_angle_alpha 96.55
_cell_angle_beta 91.22
_cell_angle_gamma 90.56
_space_group_name_H-M_alt 'P 1'
_space_group_IT_number 1
loop_
_space_group_symop_operation_xyz
'x,y,z'
loop_
_atom_site_label
_atom_site_fract_x
_atom_site_fract_y
_atom_site_fract_z
_atom_site_occupancy
K1 0.000 0.000 0.000 1
K2 0.015 0.788 0.407 1
K3 0.483 0.162 0.687 1
K4 0.501 0.572 0.154 1
Mg1 0.967 0.587 0.615 1
Mn1 0.030 0.296 0.433 1
Mn2 0.487 0.719 0.781 1
Mn3 0.508 0.102 0.249 1
Mn4 0.996 0.467 0.918 1
O1 0.003 0.916 0.207 1
O2 0.011 0.304 0.261 1
O3 0.458 0.511 0.522 1
O4 0.497 0.297 0.951 1
O5 0.499 0.672 0.937 1
O6 0.527 0.092 0.412 1
O7 0.981 0.852 0.703 1
O8 0.984 0.476 0.754 1
# magnetic moment = 18.0 μB per cell
# volume = 269 Å³/cell

(Q)
# K4MgMn4O8 (PBE with a Hubbard U, relaxed)
data_K4MgMn4O8
_cell_length_a 3.086
_cell_length_b 6.584
_cell_length_c 13.682
_cell_angle_alpha 79.04
_cell_angle_beta 89.80
_cell_angle_gamma 89.98
_space_group_name_H-M_alt 'P 1'
_space_group_IT_number 1
loop_
_space_group_symop_operation_xyz
'x,y,z'
loop_
_atom_site_label
_atom_site_fract_x
_atom_site_fract_y
_atom_site_fract_z
_atom_site_occupancy
K1 0.000 0.000 0.000 1
K2 0.004 0.519 0.523 1
K3 0.494 0.935 0.256 1
K4 0.501 0.567 0.815 1
Mg1 0.506 0.153 0.438 1
Mn1 0.000 0.508 0.065 1
Mn2 0.004 0.948 0.585 1
Mn3 0.498 0.451 0.253 1
Mn4 0.502 0.094 0.749 1
O1 0.001 0.239 0.798 1
O2 0.002 0.895 0.739 1
O3 0.007 0.268 0.356 1
O4 0.500 0.313 0.115 1
O5 0.501 0.663 0.994 1
O6 0.503 0.191 0.583 1
O7 0.505 0.852 0.494 1
O8 0.997 0.654 0.196 1
# magnetic moment = 18.0 μB per cell
# volume = 273 Å³/cell

So which one wins? Going from most stable to least: (P), (Q).

(P)
# KMg6MnO8 (PBE with a Hubbard U, relaxed)
data_KMg6MnO8
_cell_length_a 4.496
_cell_length_b 4.496
_cell_length_c 8.564
_cell_angle_alpha 90.00
_cell_angle_beta 90.00
_cell_angle_gamma 90.00
_space_group_name_H-M_alt 'P 4/m m m'
_space_group_IT_number 123
_space_group_name_Hall '-P 4 2'
loop_
_atom_site_label
_atom_site_fract_x
_atom_site_fract_y
_atom_site_fract_z
_atom_site_occupancy
K1 0.000 0.000 0.000 1
Mg1 0.000 0.500 0.246 1
Mg2 0.500 0.500 0.000 1
Mg3 0.500 0.500 0.500 1
Mn1 0.000 0.000 0.500 1
O1 0.000 0.000 0.280 1
O2 0.000 0.500 0.000 1
O3 0.000 0.500 0.500 1
O4 0.500 0.500 0.253 1
# magnetic moment = 4.0 μB per cell
# volume = 173 Å³/cell

(Q)
# KMg6MnO8 (PBE with a Hubbard U, relaxed)
data_KMg6MnO8
_cell_length_a 4.404
_cell_length_b 4.404
_cell_length_c 8.851
_cell_angle_alpha 90.00
_cell_angle_beta 90.00
_cell_angle_gamma 90.00
_space_group_name_H-M_alt 'P 4/m m m'
_space_group_IT_number 123
_space_group_name_Hall '-P 4 2'
loop_
_atom_site_label
_atom_site_fract_x
_atom_site_fract_y
_atom_site_fract_z
_atom_site_occupancy
K1 0.000 0.000 0.000 1
Mg1 0.000 0.000 0.500 1
Mg2 0.000 0.500 0.261 1
Mg3 0.500 0.500 0.500 1
Mn1 0.500 0.500 0.000 1
O1 0.000 0.000 0.276 1
O2 0.000 0.500 0.000 1
O3 0.000 0.500 0.500 1
O4 0.500 0.500 0.249 1
# magnetic moment = 4.0 μB per cell
# volume = 172 Å³/cell

So which one wins? Going from most stable to least: (P), (Q).

(P)
# K4MgMo2O8 (PBE with a Hubbard U, relaxed)
data_K4MgMo2O8
_cell_length_a 14.180
_cell_length_b 6.488
_cell_length_c 7.652
_cell_angle_alpha 90.00
_cell_angle_beta 121.47
_cell_angle_gamma 90.00
_space_group_name_H-M_alt 'C 1 m 1'
_space_group_IT_number 8
loop_
_space_group_symop_operation_xyz
'x,y,z'
'x,-y,z'
'x+1/2,y+1/2,z'
'x+1/2,-y+1/2,z'
loop_
_atom_site_label
_atom_site_fract_x
_atom_site_fract_y
_atom_site_fract_z
_atom_site_occupancy
K1 0.000 0.000 0.000 1
K2 0.017 0.000 0.563 1
K3 0.078 0.500 0.533 1
K4 0.301 0.000 0.015 1
Mg1 0.274 0.500 0.476 1
Mo1 0.162 0.500 0.038 1
Mo2 0.290 0.000 0.531 1
O1 0.117 0.500 0.236 1
O2 0.128 0.262 0.888 1
O3 0.138 0.000 0.400 1
O4 0.313 0.500 0.259 1
O5 0.326 0.261 0.668 1
O6 0.369 0.000 0.403 1
# magnetic moment = 4.0 μB per cell
# volume = 600 Å³/cell

(Q)
# K4MgMo2O8 (PBE with a Hubbard U, relaxed)
data_K4MgMo2O8
_cell_length_a 6.039
_cell_length_b 6.909
_cell_length_c 8.260
_cell_angle_alpha 78.72
_cell_angle_beta 88.75
_cell_angle_gamma 65.66
_space_group_name_H-M_alt 'P 1'
_space_group_IT_number 1
loop_
_space_group_symop_operation_xyz
'x,y,z'
loop_
_atom_site_label
_atom_site_fract_x
_atom_site_fract_y
_atom_site_fract_z
_atom_site_occupancy
K1 0.000 0.000 0.000 1
K2 0.027 0.943 0.499 1
K3 0.348 0.331 0.860 1
K4 0.615 0.790 0.248 1
Mg1 0.863 0.436 0.578 1
Mo1 0.368 0.394 0.351 1
Mo2 0.594 0.722 0.790 1
O1 0.197 0.691 0.276 1
O2 0.205 0.314 0.536 1
O3 0.280 0.755 0.790 1
O4 0.414 0.214 0.206 1
O5 0.670 0.875 0.919 1
O6 0.683 0.362 0.424 1
O7 0.705 0.755 0.571 1
O8 0.795 0.412 0.819 1
# magnetic moment = 2.0 μB per cell
# volume = 307 Å³/cell

So which one wins? Going from most stable to least: (Q), (P).